Model 1:
A relaxed Li7Mn5O12 crystal. Source: the Materials Project, functional PBE with a Hubbard U.

Properties
SG = No. 10
theoretical density = 3.82 Mg/m³
total magnetization = 0.750 μB/atom

a = 2.871 Å, b = 5.347 Å, c = 14.603 Å
α = 87.45°, β = 90.00°, γ = 90.00°
Sites, in units of the cell vectors:
Li: 0.000 0.333 0.833
Li: 0.500 0.489 0.491
Li: 0.500 0.833 0.333
Li: 0.500 0.178 0.176
Li: 0.000 0.676 0.178
Li: 0.000 0.990 0.489
Li: 0.500 0.833 0.833
O: 0.500 0.854 0.078
O: 0.000 0.622 0.407
O: 0.500 0.813 0.588
O: 0.000 0.045 0.259
O: 0.500 0.522 0.744
O: 0.000 0.356 0.075
O: 0.000 0.019 0.744
O: 0.000 0.311 0.591
O: 0.500 0.182 0.409
O: 0.000 0.647 0.922
O: 0.500 0.144 0.923
O: 0.500 0.484 0.258
Mn: 0.500 0.163 0.666
Mn: 0.000 0.333 0.333
Mn: 0.000 0.003 0.003
Mn: 0.000 0.664 0.664
Mn: 0.500 0.503 0.001

Model 2:
A relaxed Li7Mn5O12 crystal. Source: the Materials Project, functional PBE with a Hubbard U.

Properties
SG = No. 2
theoretical density = 3.87 Mg/m³
total magnetization = 0.750 μB/atom

a = 2.986 Å, b = 8.211 Å, c = 9.927 Å
α = 114.33°, β = 93.11°, γ = 90.96°
Sites, in units of the cell vectors:
O: 0.970 0.753 0.490
O: 0.518 0.740 0.978
O: 0.030 0.247 0.510
O: 0.470 0.586 0.686
O: 0.995 0.103 0.170
O: 0.482 0.260 0.022
O: 0.538 0.911 0.336
O: 0.530 0.414 0.314
O: 0.462 0.089 0.664
O: 0.005 0.897 0.830
O: 0.041 0.573 0.170
O: 0.959 0.427 0.830
Li: 0.000 0.500 0.500
Li: 0.500 0.500 0.000
Li: 0.500 0.000 0.000
Li: 0.513 0.159 0.321
Li: 0.487 0.841 0.679
Li: 0.993 0.852 0.166
Li: 0.007 0.148 0.834
Mn: 0.510 0.665 0.327
Mn: 0.000 0.000 0.500
Mn: 0.490 0.335 0.673
Mn: 0.992 0.680 0.839
Mn: 0.008 0.320 0.161

Model 3:
A relaxed Li7Mn5O12 crystal. Source: the Materials Project, functional PBE with a Hubbard U.

Properties
SG = No. 2
theoretical density = 3.86 Mg/m³
total magnetization = 0.750 μB/atom

a = 6.922 Å, b = 8.196 Å, c = 8.764 Å
α = 75.70°, β = 80.09°, γ = 107.34°
Sites, in units of the cell vectors:
Mn: 0.342 0.337 0.996
Mn: 0.167 0.667 0.500
Mn: 0.092 0.340 0.751
Mn: 0.495 0.996 0.502
Mn: 0.992 0.996 0.004
Mn: 0.744 0.998 0.748
Mn: 0.838 0.338 0.498
Mn: 0.590 0.336 0.252
Mn: 0.667 0.667 0.000
Mn: 0.241 0.993 0.249
Li: 0.061 0.821 0.751
Li: 0.167 0.167 0.500
Li: 0.436 0.172 0.756
Li: 0.587 0.829 0.255
Li: 0.897 0.161 0.244
Li: 0.913 0.669 0.250
Li: 0.495 0.503 0.511
Li: 0.272 0.512 0.249
Li: 0.746 0.504 0.745
Li: 0.420 0.665 0.750
Li: 0.667 0.167 0.000
Li: 0.995 0.505 0.003
Li: 0.839 0.830 0.489
Li: 0.338 0.828 0.997
O: 0.002 0.247 0.989
O: 0.582 0.095 0.260
O: 0.368 0.579 0.002
O: 0.917 0.925 0.237
O: 0.496 0.243 0.487
O: 0.866 0.579 0.502
O: 0.046 0.082 0.759
O: 0.288 0.251 0.241
O: 0.417 0.408 0.763
O: 0.174 0.430 0.509
O: 0.245 0.753 0.263
O: 0.454 0.931 0.737
O: 0.467 0.754 0.498
O: 0.965 0.755 0.998
O: 0.677 0.430 0.013
O: 0.837 0.091 0.513
O: 0.587 0.574 0.238
O: 0.088 0.580 0.737
O: 0.160 0.903 0.491
O: 0.331 0.086 0.011
O: 0.746 0.760 0.762
O: 0.879 0.403 0.263
O: 0.751 0.238 0.740
O: 0.656 0.904 0.987

Model 4:
A relaxed Li7Mn5O12 crystal. Source: the Materials Project, functional PBE with a Hubbard U.

Properties
SG = No. 2
theoretical density = 3.83 Mg/m³
total magnetization = 0.328 μB/atom

a = 3.009 Å, b = 5.100 Å, c = 14.602 Å
α = 87.59°, β = 86.90°, γ = 86.42°
Sites, in units of the cell vectors:
O: 0.975 0.658 0.089
O: 0.529 0.842 0.911
O: 0.993 0.309 0.421
O: 0.025 0.342 0.911
O: 0.975 0.994 0.759
O: 0.529 0.510 0.244
O: 0.007 0.691 0.579
O: 0.025 0.006 0.241
O: 0.471 0.490 0.756
O: 0.469 0.144 0.572
O: 0.531 0.856 0.428
O: 0.471 0.158 0.089
Mn: 0.504 0.834 0.167
Mn: 0.997 0.666 0.832
Mn: 0.000 0.000 0.500
Mn: 0.003 0.334 0.168
Mn: 0.496 0.166 0.833
Li: 0.991 0.655 0.344
Li: 0.500 0.500 0.500
Li: 0.009 0.345 0.656
Li: 0.497 0.829 0.659
Li: 0.000 0.000 0.000
Li: 0.503 0.171 0.341
Li: 0.500 0.500 0.000

Which is most stable? The ranking, best first, is model 3, model 2, model 1, model 4.

Model 1:
A relaxed Mn6O5F7 crystal. Source: the Materials Project, functional PBE with a Hubbard U.

Properties
SG = No. 1
theoretical density = 4.22 Mg/m³
total magnetization = 1.389 μB/atom

a = 5.113 Å, b = 5.761 Å, c = 14.525 Å
α = 90.89°, β = 93.44°, γ = 90.12°
Sites, in units of the cell vectors:
F: 0.648 0.168 0.257
F: 0.143 0.145 0.763
F: 0.217 0.317 0.595
F: 0.371 0.886 0.912
F: 0.822 0.874 0.422
F: 0.159 0.898 0.244
F: 0.869 0.118 0.920
F: 0.169 0.403 0.254
F: 0.736 0.343 0.083
F: 0.341 0.151 0.409
F: 0.690 0.116 0.575
F: 0.183 0.633 0.747
F: 0.249 0.096 0.080
F: 0.652 0.896 0.750
O: 0.660 0.664 0.238
O: 0.347 0.370 0.907
O: 0.764 0.647 0.590
O: 0.681 0.370 0.765
O: 0.232 0.652 0.072
O: 0.840 0.384 0.407
O: 0.263 0.781 0.587
O: 0.735 0.805 0.080
O: 0.856 0.632 0.924
O: 0.334 0.644 0.425
Mn: 0.519 0.459 0.337
Mn: 0.008 0.421 0.839
Mn: 0.992 0.116 0.338
Mn: 0.482 0.560 0.668
Mn: 0.476 0.906 0.167
Mn: 0.542 0.572 0.995
Mn: 0.514 0.134 0.834
Mn: 0.039 0.552 0.504
Mn: 0.509 0.884 0.498
Mn: 0.967 0.939 0.658
Mn: 0.045 0.878 0.996
Mn: 0.946 0.585 0.161

Model 2:
A relaxed Mn6O5F7 crystal. Source: the Materials Project, functional PBE with a Hubbard U.

Properties
SG = No. 7
theoretical density = 4.23 Mg/m³
total magnetization = 1.389 μB/atom

a = 5.741 Å, b = 4.742 Å, c = 15.632 Å
α = 89.51°, β = 90.00°, γ = 90.00°
Sites, in units of the cell vectors:
Mn: 0.666 0.525 0.585
Mn: 0.864 0.992 0.082
Mn: 0.625 0.489 0.251
Mn: 0.844 0.961 0.419
Mn: 0.375 0.489 0.751
Mn: 0.346 0.533 0.420
Mn: 0.156 0.961 0.919
Mn: 0.185 0.990 0.246
Mn: 0.136 0.992 0.582
Mn: 0.654 0.533 0.920
Mn: 0.815 0.990 0.746
Mn: 0.334 0.525 0.085
O: 0.609 0.712 0.810
O: 0.882 0.796 0.638
O: 0.105 0.783 0.474
O: 0.622 0.299 0.690
O: 0.378 0.299 0.190
O: 0.118 0.796 0.138
O: 0.391 0.712 0.310
O: 0.621 0.721 0.476
O: 0.895 0.783 0.974
O: 0.379 0.721 0.976
F: 0.895 0.212 0.859
F: 0.105 0.212 0.359
F: 0.136 0.235 0.694
F: 0.386 0.230 0.867
F: 0.879 0.250 0.525
F: 0.878 0.741 0.299
F: 0.632 0.280 0.029
F: 0.612 0.750 0.139
F: 0.864 0.235 0.194
F: 0.388 0.750 0.639
F: 0.614 0.230 0.367
F: 0.368 0.280 0.529
F: 0.121 0.250 0.025
F: 0.122 0.741 0.799

Model 3:
A relaxed Mn6O5F7 crystal. Source: the Materials Project, functional PBE with a Hubbard U.

Properties
SG = No. 1
theoretical density = 4.20 Mg/m³
total magnetization = 1.389 μB/atom

a = 5.127 Å, b = 5.796 Å, c = 14.474 Å
α = 93.20°, β = 91.95°, γ = 89.94°
Sites, in units of the cell vectors:
O: 0.874 0.626 0.592
O: 0.137 0.652 0.081
O: 0.257 0.784 0.929
O: 0.683 0.876 0.402
O: 0.369 0.371 0.572
O: 0.316 0.408 0.239
O: 0.718 0.829 0.736
O: 0.651 0.388 0.098
O: 0.824 0.671 0.256
O: 0.239 0.675 0.739
F: 0.833 0.185 0.249
F: 0.284 0.303 0.918
F: 0.342 0.872 0.582
F: 0.874 0.108 0.582
F: 0.176 0.123 0.749
F: 0.129 0.162 0.090
F: 0.311 0.926 0.252
F: 0.772 0.055 0.914
F: 0.173 0.150 0.420
F: 0.646 0.905 0.086
F: 0.721 0.379 0.429
F: 0.213 0.647 0.405
F: 0.746 0.590 0.930
F: 0.691 0.351 0.753
Mn: 0.464 0.932 0.831
Mn: 0.518 0.625 0.325
Mn: 0.026 0.874 0.667
Mn: 0.970 0.880 0.005
Mn: 0.482 0.161 0.168
Mn: 0.534 0.096 0.499
Mn: 0.050 0.423 0.507
Mn: 0.984 0.922 0.330
Mn: 0.545 0.582 0.660
Mn: 0.982 0.448 0.168
Mn: 0.027 0.449 0.825
Mn: 0.438 0.568 0.010

Which is most stable? The ranking, best first, is model 3, model 1, model 2.

Model 1:
A relaxed Mn6O5F7 crystal. Source: the Materials Project, functional PBE with a Hubbard U.

Properties
SG = No. 1
theoretical density = 4.24 Mg/m³
total magnetization = 1.389 μB/atom

a = 4.751 Å, b = 5.665 Å, c = 7.920 Å
α = 86.81°, β = 88.20°, γ = 88.34°
Sites, in units of the cell vectors:
Mn: 0.026 0.013 0.007
Mn: 0.945 0.334 0.670
Mn: 0.488 0.488 0.004
Mn: 0.534 0.836 0.656
Mn: 0.492 0.167 0.335
Mn: 0.003 0.667 0.329
O: 0.804 0.286 0.908
O: 0.195 0.710 0.105
O: 0.310 0.216 0.117
O: 0.809 0.639 0.551
O: 0.676 0.120 0.550
F: 0.211 0.030 0.759
F: 0.192 0.357 0.443
F: 0.791 0.970 0.233
F: 0.289 0.860 0.427
F: 0.708 0.471 0.241
F: 0.323 0.550 0.755
F: 0.703 0.786 0.908

Model 2:
A relaxed Mn6O5F7 crystal. Source: the Materials Project, functional PBE with a Hubbard U.

Properties
SG = No. 1
theoretical density = 4.30 Mg/m³
total magnetization = 1.389 μB/atom

a = 5.282 Å, b = 5.365 Å, c = 14.832 Å
α = 93.87°, β = 91.77°, γ = 91.58°
Sites, in units of the cell vectors:
F: 0.335 0.934 0.922
F: 0.685 0.663 0.589
F: 0.838 0.193 0.905
F: 0.414 0.283 0.257
F: 0.734 0.357 0.077
F: 0.647 0.917 0.745
F: 0.905 0.136 0.574
F: 0.337 0.629 0.419
F: 0.911 0.319 0.249
F: 0.231 0.131 0.095
F: 0.216 0.122 0.418
F: 0.130 0.198 0.747
F: 0.410 0.204 0.594
F: 0.222 0.638 0.069
O: 0.654 0.787 0.264
O: 0.707 0.836 0.088
O: 0.743 0.214 0.411
O: 0.823 0.692 0.924
O: 0.132 0.814 0.238
O: 0.181 0.669 0.585
O: 0.313 0.416 0.900
O: 0.646 0.409 0.765
O: 0.145 0.692 0.751
O: 0.840 0.698 0.419
Mn: 0.412 0.533 0.674
Mn: 0.917 0.589 0.162
Mn: 0.993 0.438 0.493
Mn: 0.977 0.481 0.833
Mn: 0.530 0.947 0.493
Mn: 0.616 0.492 0.341
Mn: 0.987 0.893 0.665
Mn: 0.440 0.948 0.179
Mn: 0.522 0.616 0.988
Mn: 0.480 0.157 0.830
Mn: 0.985 0.974 0.002
Mn: 0.943 0.985 0.332

Which is most stable? The ranking, best first, is model 1, model 2.

Model 1:
A relaxed MgV4O7F5 crystal. Source: the Materials Project, functional PBE with a Hubbard U.

Properties
SG = No. 1
theoretical density = 3.47 Mg/m³
total magnetization = 0.176 μB/atom

a = 5.048 Å, b = 5.364 Å, c = 9.158 Å
α = 71.83°, β = 90.48°, γ = 63.79°
Sites, in units of the cell vectors:
Mg: 0.441 0.124 0.140
F: 0.071 0.257 0.813
F: 0.988 0.274 0.126
F: 0.021 0.729 0.879
F: 0.510 0.766 0.370
F: 0.485 0.267 0.618
O: 0.410 0.762 0.671
O: 0.360 0.803 0.086
O: 0.912 0.762 0.577
O: 0.568 0.259 0.303
O: 0.066 0.258 0.419
O: 0.572 0.254 0.935
O: 0.870 0.760 0.170
V: 0.283 0.514 0.748
V: 0.777 0.474 0.273
V: 0.992 0.985 0.992
V: 0.548 0.991 0.509

Model 2:
A relaxed MgV4O7F5 crystal. Source: the Materials Project, functional PBE with a Hubbard U.

Properties
SG = No. 1
theoretical density = 3.46 Mg/m³
total magnetization = 0.177 μB/atom

a = 5.127 Å, b = 5.388 Å, c = 8.996 Å
α = 71.39°, β = 91.06°, γ = 116.42°
Sites, in units of the cell vectors:
F: 0.462 0.198 0.624
F: 0.044 0.695 0.577
F: 0.447 0.719 0.386
F: 0.074 0.726 0.170
F: 0.417 0.230 0.925
O: 0.415 0.242 0.328
O: 0.582 0.751 0.073
O: 0.921 0.236 0.819
O: 0.540 0.702 0.667
O: 0.935 0.239 0.442
O: 0.974 0.754 0.877
O: 0.022 0.222 0.119
V: 0.258 0.461 0.236
V: 0.771 0.531 0.780
V: 0.946 0.998 0.005
V: 0.561 0.018 0.491
Mg: 0.191 0.379 0.614

Which is most stable? The ranking, best first, is model 2, model 1.